Crystalline Ac2IrAu at its relaxed geometry. Source: the Materials Project database, functional PBE.

Calculated values
**Space group**: Fm-3m

Unit cell a=5.3855 b=5.3855 c=5.3855 alpha=60.00 beta=60.00 gamma=60.00
With the nearest neighbours (Å) after each atom.
Fractional positions:
Ac 0.2500 0.2500 0.2500  4 Au 3.30, 4 Ir 3.30
Ac 0.7500 0.7500 0.7500  4 Ir 3.30, 4 Au 3.30
Ir 0.0000 0.0000 0.0000  8 Ac 3.30
Au 0.5000 0.5000 0.5000  8 Ac 3.30

Crystalline AcPbAu2 at its relaxed geometry. Source: the Materials Project database, functional PBE.

Calculated values
**Space group**: Fm-3m

Unit cell a=5.3229 b=5.3229 c=5.3229 alpha=60.00 beta=60.00 gamma=60.00
With the nearest neighbours (Å) after each atom.
Fractional positions:
Ac 0.0000 0.0000 0.0000  8 Au 3.26
Pb 0.5000 0.5000 0.5000  8 Au 3.26
Au 0.2500 0.2500 0.2500  4 Ac 3.26, 4 Pb 3.26
Au 0.7500 0.7500 0.7500  4 Ac 3.26, 4 Pb 3.26

Crystalline Ac2SiAu at its relaxed geometry. Source: the Materials Project database, functional PBE.

Calculated values
**Space group**: Fm-3m

Unit cell a=5.5047 b=5.5047 c=5.5047 alpha=60.00 beta=60.00 gamma=60.00
With the nearest neighbours (Å) after each atom.
Fractional positions:
Ac 0.2500 0.2500 0.2500  4 Si 3.37, 4 Au 3.37
Ac 0.7500 0.7500 0.7500  4 Si 3.37, 4 Au 3.37
Si 0.0000 0.0000 0.0000  8 Ac 3.37
Au 0.5000 0.5000 0.5000  8 Ac 3.37

no.,formation energy (eV/atom),volume (Å³ per atom)
1,-0.618,27.61
2,-0.635,26.66
3,-0.563,29.49